First-principles (PBE+U) data for a geometry-optimized Li7Mn2Co3O12 structure, as listed in the Materials Project.

abc: 3.007 7.619 10.117
angles: 72.74 88.01 81.85
Element x y z (fractional)
Li: 0.000 0.000 0.000
Li: 0.158 0.666 0.246
Li: 0.171 0.664 0.755
Li: 0.498 0.003 0.243
Li: 0.502 0.997 0.757
Li: 0.829 0.336 0.245
Li: 0.842 0.334 0.754
Mn: 0.341 0.331 0.504
Mn: 0.659 0.669 0.496
Co: 0.000 0.000 0.500
Co: 0.344 0.324 0.002
Co: 0.656 0.676 0.998
O: 0.050 0.832 0.378
O: 0.066 0.819 0.885
O: 0.276 0.495 0.108
O: 0.279 0.503 0.617
O: 0.403 0.192 0.886
O: 0.408 0.161 0.388
O: 0.592 0.839 0.612
O: 0.597 0.808 0.114
O: 0.721 0.497 0.383
O: 0.724 0.505 0.892
O: 0.934 0.181 0.115
O: 0.950 0.168 0.622

Output
Total DFT energy (no corrections): -5.83 eV per atom



First-principles (PBE+U) data for a geometry-optimized Li4MnCo2O7 structure, as listed in the Materials Project.

abc: 5.102 7.671 7.706
angles: 61.17 72.09 77.87
Element x y z (fractional)
Li: 0.000 0.000 0.000
Li: 0.000 0.436 0.707
Li: 0.003 0.286 0.146
Li: 0.005 0.848 0.439
Li: 0.006 0.147 0.567
Li: 0.007 0.711 0.857
Li: 0.506 0.642 0.571
Li: 0.999 0.569 0.293
Mn: 0.496 0.785 0.149
Mn: 0.500 0.067 0.291
Co: 0.498 0.502 0.992
Co: 0.501 0.217 0.857
Co: 0.508 0.919 0.711
Co: 0.511 0.363 0.438
O: 0.271 0.753 0.000
O: 0.272 0.020 0.158
O: 0.272 0.614 0.406
O: 0.272 0.911 0.555
O: 0.273 0.448 0.869
O: 0.281 0.175 0.719
O: 0.285 0.310 0.286
O: 0.712 0.967 0.876
O: 0.720 0.240 0.013
O: 0.722 0.834 0.277
O: 0.726 0.550 0.141
O: 0.733 0.104 0.422
O: 0.740 0.687 0.725
O: 0.746 0.385 0.566

Output
Total DFT energy (no corrections): -5.85 eV per atom



First-principles (PBE+U) data for a geometry-optimized Li4MnCo3O8 structure, as listed in the Materials Project.

abc: 5.940 5.940 5.940
angles: 59.13 59.13 59.13
Element x y z (fractional)
Li: 0.000 0.000 0.000
Li: 0.000 0.500 0.500
Li: 0.500 0.000 0.500
Li: 0.500 0.500 0.000
Mn: 0.500 0.500 0.500
Co: 0.000 0.000 0.500
Co: 0.000 0.500 0.000
Co: 0.500 0.000 0.000
O: 0.241 0.241 0.241
O: 0.261 0.734 0.734
O: 0.266 0.266 0.739
O: 0.266 0.739 0.266
O: 0.734 0.261 0.734
O: 0.734 0.734 0.261
O: 0.739 0.266 0.266
O: 0.759 0.759 0.759

Output
Total DFT energy (no corrections): -5.87 eV per atom



First-principles (PBE+U) data for a geometry-optimized Li7Mn2Co3O12 structure, as listed in the Materials Project.

abc: 5.115 2.907 14.477
angles: 90.00 90.52 90.00
Element x y z (fractional)
Li: 0.000 0.000 0.000
Li: 0.012 0.000 0.500
Li: 0.172 0.500 0.824
Li: 0.330 0.000 0.657
Li: 0.482 0.500 0.500
Li: 0.667 0.000 0.336
Li: 0.837 0.500 0.176
Mn: 0.500 0.500 0.999
Mn: 0.849 0.500 0.659
Co: 0.151 0.500 0.339
Co: 0.326 0.000 0.170
Co: 0.669 0.000 0.830
O: 0.001 0.000 0.253
O: 0.143 0.500 0.588
O: 0.201 0.500 0.082
O: 0.328 0.000 0.409
O: 0.343 0.000 0.926
O: 0.453 0.500 0.252
O: 0.536 0.500 0.749
O: 0.654 0.000 0.072
O: 0.687 0.000 0.591
O: 0.801 0.500 0.917
O: 0.871 0.500 0.406
O: 0.992 0.000 0.740

Output
Total DFT energy (no corrections): -5.84 eV per atom



First-principles (PBE+U) data for a geometry-optimized Li5Mn2CoO8 structure, as listed in the Materials Project.

abc: 4.969 5.819 5.853
angles: 60.56 89.23 73.39
Element x y z (fractional)
Li: 0.000 0.000 0.000
Li: 0.000 0.496 0.506
Li: 0.497 0.002 0.757
Li: 0.503 0.996 0.256
Li: 0.996 0.003 0.508
Mn: 0.501 0.499 0.747
Mn: 0.999 0.502 0.004
Co: 0.507 0.496 0.264
O: 0.241 0.732 0.873
O: 0.245 0.286 0.343
O: 0.251 0.273 0.884
O: 0.286 0.721 0.402
O: 0.731 0.258 0.643
O: 0.743 0.279 0.112
O: 0.747 0.721 0.132
O: 0.750 0.721 0.662

Output
Total DFT energy (no corrections): -6.03 eV per atom



First-principles (PBE+U) data for a geometry-optimized Li7Mn4CoO12 structure, as listed in the Materials Project.

abc: 2.990 5.080 14.740
angles: 81.93 86.45 86.66
Element x y z (fractional)
Li: 0.000 0.000 0.000
Li: 0.074 0.408 0.840
Li: 0.147 0.817 0.682
Li: 0.327 0.662 0.340
Li: 0.487 0.481 0.995
Li: 0.659 0.332 0.685
Li: 0.824 0.156 0.339
Mn: 0.237 0.240 0.507
Mn: 0.574 0.908 0.841
Mn: 0.736 0.740 0.508
Mn: 0.911 0.576 0.173
Co: 0.410 0.076 0.173
O: 0.065 0.726 0.914
O: 0.082 0.089 0.768
O: 0.172 0.525 0.584
O: 0.310 0.957 0.428
O: 0.352 0.361 0.249
O: 0.460 0.785 0.100
O: 0.527 0.178 0.920
O: 0.620 0.638 0.762
O: 0.676 0.030 0.583
O: 0.808 0.458 0.428
O: 0.837 0.865 0.250
O: 0.976 0.283 0.099

Output
Total DFT energy (no corrections): -6.17 eV per atom



no.,magnetization (Bohr magnetons per cell)
1,16.00
2,20.00
3,14.00
4,9.35
5,6.00
6,14.00